Version a
Entry from the Materials Project: a relaxed Sr3Os2N4 crystal (PBE-GGA).

Calculated values
- Space group: No. 15
- Spin magnetization: 0.001 Bohr magnetons per cell

Lattice parameters (Å, degrees): 7.3173 9.1198 5.6404 90.00 93.12 128.55
With the nearest neighbours (Å) after each atom.
Fractional positions:
Sr 0.2437 0.9899 0.0367  6 N 2.62-2.93
Sr 0.7563 0.7462 0.4633  6 N 2.62-2.93
Sr 0.7563 0.0101 0.9633  6 N 2.62-2.93
Sr 0.2437 0.2538 0.5367  6 N 2.62-2.93
Sr 0.0000 0.5981 0.7500  6 N 2.61-2.78
Sr 0.0000 0.4019 0.2500  6 N 2.61-2.78
Os 0.5932 0.1614 0.5910  4 N 1.96-2.08
Os 0.4068 0.5682 0.9090  4 N 1.96-2.08
Os 0.4068 0.8386 0.4090  4 N 1.96-2.08
Os 0.5932 0.4318 0.0910  4 N 1.96-2.08
N 0.2377 0.9380 0.5260  2 Os 2.07-2.08
N 0.7623 0.7004 0.9740  2 Os 2.07-2.08
N 0.7623 0.0620 0.4740  2 Os 2.07-2.08
N 0.2377 0.2996 0.0260  2 Os 2.07-2.08
N 0.6584 0.2748 0.9109  2 Os 1.96-2.05
N 0.3416 0.6165 0.5891  2 Os 1.96-2.05
N 0.3416 0.7252 0.0891  2 Os 1.96-2.05
N 0.6584 0.3835 0.4109  2 Os 1.96-2.05

Version b
Entry from the Materials Project: a relaxed Sr3Os2N4 crystal (PBE-GGA).

Calculated values
- Space group: No. 52
- Spin magnetization: 3.961 Bohr magnetons per cell

Lattice parameters (Å, degrees): 6.3119 10.4235 9.1794 90.00 90.00 90.00
With the nearest neighbours (Å) after each atom.
Fractional positions:
Sr 0.6298 0.1551 0.4230  4 N 2.54-2.78
Sr 0.8702 0.8449 0.4230  4 N 2.54-2.78
Sr 0.6298 0.3449 0.0770  4 N 2.54-2.78
Sr 0.8702 0.6551 0.0770  4 N 2.54-2.78
Sr 0.3702 0.8449 0.5770  4 N 2.54-2.78
Sr 0.1298 0.1551 0.5770  4 N 2.54-2.78
Sr 0.3702 0.6551 0.9230  4 N 2.54-2.78
Sr 0.1298 0.3449 0.9230  4 N 2.54-2.78
Sr 0.7500 0.5000 0.4071  4 N 2.61-2.69
Sr 0.7500 0.0000 0.0929  4 N 2.61-2.69
Sr 0.2500 0.5000 0.5929  4 N 2.61-2.69
Sr 0.2500 0.0000 0.9071  4 N 2.61-2.69
Os 0.7500 0.5000 0.7467  4 N 2.01-2.06
Os 0.7500 0.0000 0.7533  4 N 2.01-2.06
Os 0.2500 0.5000 0.2533  4 N 2.01-2.06
Os 0.2500 0.0000 0.2467  4 N 2.01-2.06
Os 0.6961 0.2500 0.7500  4 N 2.01-2.11
Os 0.8039 0.7500 0.7500  4 N 2.01-2.11
Os 0.3039 0.7500 0.2500  4 N 2.01-2.11
Os 0.1961 0.2500 0.2500  4 N 2.01-2.11
N 0.9215 0.3582 0.6561  2 Os 2.01
N 0.5785 0.6418 0.6561  2 Os 2.01
N 0.9215 0.1418 0.8439  2 Os 2.01
N 0.5785 0.8582 0.8439  2 Os 2.01
N 0.0785 0.6418 0.3439  2 Os 2.01
N 0.4215 0.3582 0.3439  2 Os 2.01
N 0.0785 0.8582 0.1561  2 Os 2.01
N 0.4215 0.1418 0.1561  2 Os 2.01
N 0.4845 0.3984 0.8083  2 Os 2.06-2.11
N 0.0155 0.6016 0.8083  2 Os 2.06-2.11
N 0.4845 0.1016 0.6917  2 Os 2.06-2.11
N 0.0155 0.8984 0.6917  2 Os 2.06-2.11
N 0.5155 0.6016 0.1917  2 Os 2.06-2.11
N 0.9845 0.3984 0.1917  2 Os 2.06-2.11
N 0.5155 0.8984 0.3083  2 Os 2.06-2.11
N 0.9845 0.1016 0.3083  2 Os 2.06-2.11

Least stable = version a

Version a
Entry from the Materials Project: a relaxed P4N7 crystal (PBE-GGA).

Calculated values
- Space group: No. 15
- Spin magnetization: 0.666 Bohr magnetons per cell

Lattice parameters (Å, degrees): 5.0155 5.0155 9.0306 104.63 104.63 93.71
With the nearest neighbours (Å) after each atom.
Fractional positions:
P 0.0253 0.5078 0.2022  4 N 1.59-1.69
P 0.4922 0.9747 0.2978  4 N 1.59-1.69
P 0.9747 0.4922 0.7978  4 N 1.59-1.69
P 0.5078 0.0253 0.7022  4 N 1.59-1.69
P 0.7450 0.5842 0.4762  3 N 1.62-1.70
P 0.4158 0.2550 0.0238  3 N 1.62-1.70
P 0.2550 0.4158 0.5238  3 N 1.62-1.70
P 0.5842 0.7450 0.9762  3 N 1.62-1.70
N 0.8481 0.7250 0.9036  2 P 1.59-1.62
N 0.2750 0.1519 0.5964  2 P 1.59-1.62
N 0.1519 0.2750 0.0964  2 P 1.59-1.62
N 0.7250 0.8481 0.4036  2 P 1.59-1.62
N 0.9894 0.4307 0.3689  3 P 1.69-1.84
N 0.5693 0.0106 0.1311  3 P 1.69-1.84
N 0.0106 0.5693 0.6311  3 P 1.69-1.84
N 0.4307 0.9894 0.8689  3 P 1.69-1.84
N 0.1860 0.8140 0.2500  2 P 1.59
N 0.8140 0.1860 0.7500  2 P 1.59
N 0.6927 0.5100 0.1011  3 P 1.69-1.84
N 0.4900 0.3073 0.3989  3 P 1.69-1.84
N 0.3073 0.4900 0.8989  3 P 1.69-1.84
N 0.5100 0.6927 0.6011  3 P 1.69-1.84

Version b
Entry from the Materials Project: a relaxed P4N7 crystal (PBE-GGA).

Calculated values
- Space group: No. 14
- Spin magnetization: 1.491 Bohr magnetons per cell

Lattice parameters (Å, degrees): 4.9434 7.2241 15.2418 91.86 90.00 90.00
With the nearest neighbours (Å) after each atom.
Fractional positions:
P 0.2986 0.7662 0.9521  4 N 1.58-1.72
P 0.7986 0.2338 0.5479  4 N 1.58-1.72
P 0.7014 0.2338 0.0479  4 N 1.58-1.72
P 0.2014 0.7662 0.4521  4 N 1.58-1.72
P 0.6297 0.9521 0.2012  4 N 1.58-1.72
P 0.1297 0.0479 0.2988  4 N 1.58-1.72
P 0.3703 0.0479 0.7988  4 N 1.58-1.72
P 0.8703 0.9521 0.7012  4 N 1.58-1.72
P 0.3101 0.4819 0.8048  4 N 1.59-1.71
P 0.8101 0.5181 0.6952  4 N 1.59-1.71
P 0.6899 0.5181 0.1952  4 N 1.59-1.71
P 0.1899 0.4819 0.3048  4 N 1.59-1.71
P 0.7996 0.8123 0.0553  4 N 1.57-1.72
P 0.2996 0.1877 0.4447  4 N 1.57-1.72
P 0.2004 0.1877 0.9447  4 N 1.57-1.72
P 0.7004 0.8123 0.5553  4 N 1.57-1.72
N 0.7081 0.7375 0.1566  3 P 1.71-1.72
N 0.2081 0.2625 0.3434  3 P 1.71-1.72
N 0.2919 0.2625 0.8434  3 P 1.71-1.72
N 0.7919 0.7375 0.6566  3 P 1.71-1.72
N 0.1114 0.7967 0.0369  2 P 1.57-1.60
N 0.6114 0.2033 0.4631  2 P 1.57-1.60
N 0.8886 0.2033 0.9631  2 P 1.57-1.60
N 0.3886 0.7967 0.5369  2 P 1.57-1.60
N 0.6106 0.7434 0.9775  2 P 1.58-1.60
N 0.1106 0.2566 0.5225  2 P 1.58-1.60
N 0.3894 0.2566 0.0225  2 P 1.58-1.60
N 0.8894 0.7434 0.4775  2 P 1.58-1.60
N 0.2038 0.6080 0.8852  2 P 1.58-1.59
N 0.7038 0.3920 0.6148  2 P 1.58-1.59
N 0.7962 0.3920 0.1148  2 P 1.58-1.59
N 0.2962 0.6080 0.3852  2 P 1.58-1.59
N 0.6200 0.5164 0.7801  2 P 1.60
N 0.1200 0.4836 0.7199  2 P 1.60
N 0.3800 0.4836 0.2199  2 P 1.60
N 0.8800 0.5164 0.2801  2 P 1.60
N 0.8186 0.0272 0.2777  2 P 1.58
N 0.3186 0.9728 0.2223  2 P 1.58
N 0.1814 0.9728 0.7223  2 P 1.58
N 0.6814 0.0272 0.7777  2 P 1.58
N 0.2843 0.9735 0.9004  3 P 1.71-1.72
N 0.7843 0.0265 0.5996  3 P 1.71-1.72
N 0.7157 0.0265 0.0996  3 P 1.71-1.72
N 0.2157 0.9735 0.4004  3 P 1.71-1.72

Least stable = version a

Version a
Entry from the Materials Project: a relaxed P3N5 crystal (PBE-GGA).

Calculated values
- Space group: No. 15

Lattice parameters (Å, degrees): 5.0439 5.0439 9.2405 69.40 69.40 71.52
With the nearest neighbours (Å) after each atom.
Fractional positions:
P 0.4820 0.5180 0.2500  4 N 1.57-1.68
P 0.6622 0.0697 0.5553  4 N 1.56-1.72
P 0.0697 0.6622 0.0553  4 N 1.56-1.72
P 0.3378 0.9303 0.4447  4 N 1.56-1.72
P 0.9303 0.3378 0.9447  4 N 1.56-1.72
P 0.5180 0.4820 0.7500  4 N 1.57-1.68
N 0.5008 0.7891 0.5997  3 P 1.68-1.72
N 0.2289 0.5079 0.1917  2 P 1.57
N 0.4992 0.2109 0.4003  3 P 1.68-1.72
N 0.2109 0.4992 0.9003  3 P 1.68-1.72
N 0.4921 0.7711 0.3083  2 P 1.57
N 0.7711 0.4921 0.8083  2 P 1.57
N 0.0000 0.0000 0.5000  2 P 1.56
N 0.7891 0.5008 0.0997  3 P 1.68-1.72
N 0.5079 0.2289 0.6917  2 P 1.57
N 0.0000 0.0000 0.0000  2 P 1.56

Version b
Entry from the Materials Project: a relaxed P3N5 crystal (PBE-GGA).

Calculated values
- Space group: No. 44
- Spin magnetization: 0.000 Bohr magnetons per cell
- Maximum piezoelectric response: 0.8 C/m²

Lattice parameters (Å, degrees): 2.6291 4.4901 7.0280 108.63 100.78 90.00
With the nearest neighbours (Å) after each atom.
Fractional positions:
P 0.8172 0.2758 0.6344  5 N 1.72-1.75
P 0.1828 0.6415 0.3656  5 N 1.72-1.75
P 0.5000 0.7979 0.0000  4 N 1.58-1.68
N 0.7264 0.4619 0.4528  3 P 1.72-1.75
N 0.2736 0.0091 0.5472  3 P 1.72-1.75
N 0.3962 0.4738 0.7924  3 P 1.68-1.75
N 0.0000 0.9939 0.0000  2 P 1.58
N 0.6038 0.6814 0.2076  3 P 1.68-1.75

Least stable = version b